Entry 1:
A plane-wave DFT calculation with PBE with a Hubbard U was carried out for an optimized crystal structure of PWO5.

Lattice parameters (Å, degrees): 10.352 9.083 7.115 78.41 59.27 42.32
Atoms (fractional coordinates):
O: 0.896 0.062 0.402
O: 0.353 0.969 0.688
O: 0.832 0.832 0.668
P: 0.214 0.214 0.786
O: 0.688 0.990 0.353
O: 0.562 0.260 0.897
O: 0.260 0.562 0.281
O: 0.897 0.281 0.562
O: 0.990 0.688 0.969
O: 0.281 0.897 0.260
O: 0.668 0.668 0.832
O: 0.582 0.582 0.418
W: 0.625 0.625 0.625
P: 0.464 0.464 0.036
O: 0.402 0.640 0.896
P: 0.036 0.036 0.464
W: 0.625 0.125 0.625
O: 0.354 0.188 0.848
O: 0.418 0.418 0.582
W: 0.125 0.625 0.625
O: 0.062 0.896 0.640
O: 0.969 0.353 0.990
O: 0.848 0.610 0.354
P: 0.786 0.786 0.214
O: 0.640 0.402 0.062
O: 0.188 0.354 0.610
O: 0.610 0.848 0.188
W: 0.625 0.625 0.125

Summary:
Its polymorph energy (0 for the lowest one) is 0.074 eV/atom. Its energy with MP2020 corrections is -239.31 eV/cell. The calculation puts the volume at 13.17 Å³/atom. The value obtained for the total moment is 4.00 μB per cell. The value obtained for the theoretical density is 5.3 g/cm³. The calculation puts the total energy at -207.82 eV/cell.

***

Entry 2:
A plane-wave DFT calculation with PBE with a Hubbard U was carried out for an optimized crystal structure of PW12O43.

Lattice parameters (Å, degrees): 11.992 11.992 11.992 90.00 90.00 90.00
Atoms (fractional coordinates):
O: 0.934 0.934 0.263
P: 0.250 0.250 0.250
O: 0.737 0.066 0.066
O: 0.373 0.532 0.127
O: 0.468 0.627 0.873
O: 0.627 0.873 0.468
O: 0.006 0.649 0.851
O: 0.127 0.968 0.127
O: 0.851 0.006 0.649
O: 0.250 0.750 0.750
W: 0.535 0.535 0.757
O: 0.351 0.994 0.149
O: 0.737 0.434 0.434
O: 0.934 0.566 0.237
O: 0.934 0.263 0.934
O: 0.968 0.127 0.127
O: 0.851 0.851 0.494
O: 0.066 0.763 0.434
O: 0.994 0.149 0.351
O: 0.351 0.506 0.351
O: 0.676 0.676 0.824
O: 0.434 0.763 0.066
W: 0.757 0.965 0.965
P: 0.750 0.750 0.750
W: 0.465 0.465 0.243
O: 0.127 0.373 0.532
O: 0.566 0.566 0.263
O: 0.824 0.824 0.824
W: 0.243 0.465 0.465
O: 0.434 0.066 0.763
O: 0.750 0.750 0.250
O: 0.494 0.649 0.649
O: 0.873 0.032 0.873
O: 0.250 0.750 0.250
O: 0.750 0.250 0.750
O: 0.127 0.127 0.968
O: 0.149 0.351 0.994
O: 0.066 0.737 0.066
O: 0.494 0.851 0.851
W: 0.465 0.243 0.465
O: 0.627 0.627 0.032
O: 0.763 0.434 0.066
O: 0.968 0.373 0.373
O: 0.506 0.149 0.149
O: 0.176 0.324 0.324
O: 0.763 0.066 0.434
O: 0.351 0.149 0.994
O: 0.627 0.032 0.627
W: 0.035 0.465 0.257
O: 0.873 0.468 0.627
W: 0.035 0.257 0.465
O: 0.468 0.873 0.627
O: 0.324 0.324 0.176
O: 0.649 0.494 0.649
W: 0.743 0.965 0.535
O: 0.066 0.434 0.763
O: 0.149 0.994 0.351
W: 0.743 0.535 0.965
O: 0.994 0.351 0.149
O: 0.237 0.934 0.566
O: 0.566 0.237 0.934
O: 0.237 0.566 0.934
O: 0.066 0.066 0.737
W: 0.535 0.757 0.535
W: 0.757 0.535 0.535
O: 0.006 0.851 0.649
O: 0.373 0.373 0.968
O: 0.750 0.250 0.250
W: 0.035 0.243 0.035
O: 0.532 0.373 0.127
W: 0.535 0.965 0.743
O: 0.649 0.006 0.851
O: 0.373 0.127 0.532
O: 0.250 0.250 0.750
O: 0.506 0.351 0.351
O: 0.351 0.351 0.506
O: 0.873 0.873 0.032
W: 0.965 0.743 0.535
O: 0.149 0.506 0.149
O: 0.649 0.649 0.494
W: 0.965 0.965 0.757
O: 0.263 0.566 0.566
O: 0.434 0.737 0.434
W: 0.243 0.035 0.035
O: 0.434 0.434 0.737
O: 0.627 0.468 0.873
W: 0.535 0.743 0.965
W: 0.465 0.035 0.257
O: 0.566 0.934 0.237
O: 0.649 0.851 0.006
W: 0.035 0.035 0.243
O: 0.851 0.649 0.006
O: 0.032 0.627 0.627
W: 0.257 0.035 0.465
O: 0.566 0.263 0.566
O: 0.127 0.532 0.373
O: 0.373 0.968 0.373
O: 0.934 0.237 0.566
O: 0.149 0.149 0.506
W: 0.465 0.257 0.035
O: 0.532 0.127 0.373
O: 0.176 0.176 0.176
O: 0.824 0.676 0.676
W: 0.257 0.465 0.035
O: 0.851 0.494 0.851
W: 0.965 0.535 0.743
W: 0.965 0.757 0.965
O: 0.032 0.873 0.873
O: 0.873 0.627 0.468
O: 0.263 0.934 0.934
O: 0.324 0.176 0.324
O: 0.676 0.824 0.676

Summary:
Its energy with MP2020 corrections is -947.63 eV/cell. The calculation puts the volume at 15.40 Å³/atom. The value obtained for the total moment is 16.56 μB per cell. The value obtained for the theoretical density is 5.6 g/cm³. The calculation puts the total energy at -782.04 eV/cell.

***

Entry 3:
A plane-wave DFT calculation with PBE with a Hubbard U was carried out for an optimized crystal structure of PWO5.

Lattice parameters (Å, degrees): 5.435 6.664 11.461 90.00 90.00 90.00
Atoms (fractional coordinates):
P: 0.250 0.472 0.344
W: 0.750 0.172 0.438
O: 0.250 0.509 0.212
O: 0.750 0.171 0.089
O: 0.517 0.849 0.127
O: 0.000 0.000 0.500
W: 0.250 0.672 0.062
O: 0.983 0.651 0.627
O: 0.750 0.329 0.589
O: 0.483 0.349 0.373
P: 0.750 0.972 0.156
P: 0.250 0.028 0.844
O: 0.750 0.491 0.788
O: 0.250 0.671 0.411
W: 0.250 0.828 0.562
P: 0.750 0.528 0.656
O: 0.250 0.829 0.911
O: 0.517 0.651 0.627
O: 0.483 0.151 0.873
W: 0.750 0.328 0.938
O: 0.750 0.009 0.288
O: 0.500 0.000 0.500
O: 0.000 0.500 0.000
O: 0.983 0.849 0.127
O: 0.250 0.991 0.712
O: 0.500 0.500 0.000
O: 0.017 0.349 0.373
O: 0.017 0.151 0.873

Summary:
Its polymorph energy (0 for the lowest one) is 0.053 eV/atom. Its energy with MP2020 corrections is -239.91 eV/cell. The calculation puts the volume at 14.83 Å³/atom. The value obtained for the total moment is 4.00 μB per cell. The value obtained for the theoretical density is 4.7 g/cm³. The calculation puts the total energy at -208.41 eV/cell.

***

Entry 4:
A plane-wave DFT calculation with PBE with a Hubbard U was carried out for an optimized crystal structure of P5W4O24.

Lattice parameters (Å, degrees): 9.599 9.599 15.422 64.09 64.09 52.68
Atoms (fractional coordinates):
O: 0.334 0.845 0.104
P: 0.839 0.181 0.603
O: 0.187 0.347 0.447
O: 0.326 0.717 0.659
O: 0.263 0.746 0.474
O: 0.650 0.888 0.877
O: 0.888 0.650 0.377
O: 0.288 0.052 0.402
O: 0.669 0.156 0.889
P: 0.402 0.599 0.750
W: 0.709 0.100 0.479
W: 0.522 0.151 0.818
O: 0.120 0.728 0.204
W: 0.293 0.902 0.518
W: 0.473 0.854 0.181
O: 0.119 0.353 0.621
O: 0.156 0.669 0.389
W: 0.854 0.473 0.681
O: 0.574 0.742 0.481
O: 0.982 0.969 0.917
O: 0.894 0.259 0.791
O: 0.399 0.143 0.767
O: 0.746 0.263 0.974
P: 0.264 0.247 0.540
W: 0.902 0.293 0.018
O: 0.259 0.894 0.291
O: 0.053 0.307 0.076
O: 0.052 0.288 0.902
O: 0.437 0.251 0.514
O: 0.413 0.422 0.273
O: 0.714 0.952 0.595
P: 0.817 0.163 0.895
P: 0.599 0.402 0.250
P: 0.163 0.817 0.395
O: 0.947 0.700 0.926
O: 0.023 0.012 0.585
O: 0.143 0.399 0.267
O: 0.353 0.119 0.121
O: 0.816 0.653 0.554
O: 0.700 0.947 0.426
O: 0.728 0.120 0.704
P: 0.739 0.750 0.460
P: 0.247 0.264 0.040
O: 0.678 0.284 0.341
O: 0.347 0.187 0.947
O: 0.717 0.326 0.159
O: 0.284 0.678 0.841
O: 0.567 0.593 0.230
O: 0.307 0.053 0.576
W: 0.151 0.522 0.318
O: 0.422 0.413 0.773
W: 0.100 0.709 0.979
O: 0.251 0.437 0.014
O: 0.653 0.816 0.054
O: 0.857 0.597 0.734
O: 0.597 0.857 0.234
O: 0.742 0.247 0.520
P: 0.181 0.839 0.103
P: 0.750 0.739 0.960
O: 0.247 0.742 0.020
O: 0.845 0.334 0.604
O: 0.593 0.567 0.730
O: 0.012 0.023 0.085
O: 0.742 0.574 0.981
O: 0.952 0.714 0.095
O: 0.969 0.982 0.417

Summary:
Its energy with MP2020 corrections is -554.04 eV/cell. The calculation puts the volume at 14.95 Å³/atom. The value obtained for the total moment is 2.00 μB per cell. The value obtained for the theoretical density is 4.3 g/cm³. The calculation puts the total energy at -485.56 eV/cell.

***

Entry 5:
A plane-wave DFT calculation with PBE with a Hubbard U was carried out for an optimized crystal structure of PW4O14.

Lattice parameters (Å, degrees): 5.414 6.699 30.370 90.00 90.00 90.00
Atoms (fractional coordinates):
O: 0.517 0.432 0.550
O: 0.757 0.254 0.920
W: 0.258 0.075 0.129
O: 0.972 0.399 0.397
P: 0.737 0.217 0.287
O: 0.472 0.101 0.603
O: 0.044 0.579 0.203
W: 0.756 0.413 0.179
O: 0.970 0.734 0.502
P: 0.763 0.783 0.787
O: 0.483 0.932 0.950
O: 0.245 0.074 0.370
O: 0.970 0.072 0.608
W: 0.244 0.913 0.321
O: 0.987 0.392 0.708
O: 0.256 0.906 0.185
O: 0.514 0.769 0.657
O: 0.757 0.918 0.026
O: 0.956 0.079 0.297
O: 0.530 0.928 0.108
O: 0.028 0.899 0.103
O: 0.528 0.601 0.897
O: 0.243 0.754 0.580
O: 0.257 0.582 0.974
O: 0.745 0.426 0.630
O: 0.986 0.231 0.157
O: 0.013 0.892 0.792
O: 0.456 0.421 0.703
O: 0.017 0.068 0.450
W: 0.757 0.086 0.974
O: 0.756 0.594 0.815
O: 0.512 0.758 0.339
O: 0.488 0.258 0.161
W: 0.257 0.414 0.026
W: 0.758 0.425 0.871
W: 0.243 0.586 0.526
W: 0.245 0.247 0.424
O: 0.518 0.099 0.445
O: 0.486 0.269 0.843
O: 0.255 0.926 0.870
P: 0.263 0.717 0.213
O: 0.243 0.418 0.474
W: 0.745 0.253 0.576
O: 0.530 0.266 0.002
O: 0.014 0.731 0.343
O: 0.988 0.242 0.839
O: 0.544 0.921 0.797
O: 0.261 0.220 0.762
O: 0.030 0.234 0.998
W: 0.742 0.575 0.371
O: 0.739 0.720 0.738
W: 0.743 0.914 0.474
O: 0.470 0.428 0.392
W: 0.256 0.087 0.821
O: 0.257 0.246 0.080
O: 0.743 0.082 0.526
O: 0.030 0.572 0.892
O: 0.755 0.574 0.130
O: 0.482 0.599 0.055
O: 0.982 0.901 0.945
O: 0.018 0.401 0.555
O: 0.513 0.608 0.208
O: 0.983 0.568 0.050
W: 0.255 0.753 0.924
O: 0.244 0.094 0.685
O: 0.743 0.746 0.420
W: 0.755 0.747 0.076
O: 0.470 0.766 0.498
W: 0.744 0.587 0.679
O: 0.761 0.280 0.238
P: 0.237 0.283 0.713
W: 0.242 0.925 0.629
O: 0.012 0.742 0.661
O: 0.487 0.108 0.292
O: 0.239 0.780 0.262
O: 0.744 0.406 0.315

Summary:
Its energy with MP2020 corrections is -679.64 eV/cell. The calculation puts the volume at 14.49 Å³/atom. The value obtained for the total moment is 2.40 μB per cell. The value obtained for the theoretical density is 6.0 g/cm³. The calculation puts the total energy at -570.16 eV/cell.

***

Entry 6:
A plane-wave DFT calculation with PBE with a Hubbard U was carried out for an optimized crystal structure of P2WO7.

Lattice parameters (Å, degrees): 9.086 7.001 9.776 70.99 90.00 90.00
Atoms (fractional coordinates):
O: 0.266 0.894 0.720
O: 0.766 0.106 0.780
O: 0.866 0.477 0.606
W: 0.428 0.700 0.699
O: 0.084 0.114 0.783
O: 0.771 0.741 0.916
P: 0.754 0.903 0.751
P: 0.287 0.473 0.469
O: 0.643 0.855 0.151
P: 0.213 0.473 0.969
O: 0.366 0.523 0.894
O: 0.729 0.741 0.416
O: 0.813 0.367 0.954
O: 0.271 0.259 0.584
O: 0.187 0.633 0.046
O: 0.687 0.367 0.454
O: 0.134 0.523 0.394
W: 0.572 0.300 0.301
W: 0.928 0.300 0.801
O: 0.313 0.633 0.546
P: 0.787 0.527 0.031
O: 0.634 0.477 0.106
O: 0.907 0.529 0.137
O: 0.857 0.855 0.651
O: 0.916 0.886 0.217
O: 0.143 0.145 0.349
P: 0.746 0.903 0.251
P: 0.246 0.097 0.249
O: 0.234 0.894 0.220
O: 0.093 0.471 0.863
P: 0.713 0.527 0.531
O: 0.584 0.886 0.717
W: 0.072 0.700 0.199
O: 0.593 0.529 0.637
O: 0.734 0.106 0.280
O: 0.407 0.471 0.363
O: 0.416 0.114 0.283
P: 0.254 0.097 0.749
O: 0.357 0.145 0.849
O: 0.229 0.259 0.084

Summary:
Its polymorph energy (0 for the lowest one) is 0.198 eV/atom. Its energy with MP2020 corrections is -326.75 eV/cell. The calculation puts the volume at 14.70 Å³/atom. The value obtained for the total moment is 8.00 μB per cell. The value obtained for the theoretical density is 4.0 g/cm³. The calculation puts the total energy at -289.76 eV/cell.